(1)
{"formula": "Dy2Pt2O7", "functional": "r2SCAN", "state": "optimized geometry", "lattice": [[0.0000, 5.0944, 5.0944], [5.0944, 0.0000, 5.0944], [5.0944, 5.0944, 0.0000]], "species": ["Dy", "Dy", "Dy", "Dy", "Pt", "Pt", "Pt", "Pt", "O", "O", "O", "O", "O", "O", "O", "O", "O", "O", "O", "O", "O", "O"], "fractional_positions": [[0.0000, 0.0000, 0.0000], [0.0000, 0.0000, 0.5000], [0.0000, 0.5000, 0.0000], [0.5000, 0.0000, 0.0000], [0.0000, 0.5000, 0.5000], [0.5000, 0.0000, 0.5000], [0.5000, 0.5000, 0.0000], [0.5000, 0.5000, 0.5000], [0.1250, 0.1250, 0.1250], [0.1595, 0.1595, 0.5905], [0.1595, 0.5905, 0.1595], [0.1595, 0.5905, 0.5905], [0.4095, 0.4095, 0.8405], [0.4095, 0.8405, 0.4095], [0.4095, 0.8405, 0.8405], [0.5905, 0.1595, 0.1595], [0.5905, 0.1595, 0.5905], [0.5905, 0.5905, 0.1595], [0.8405, 0.4095, 0.4095], [0.8405, 0.4095, 0.8405], [0.8405, 0.8405, 0.4095], [0.8750, 0.8750, 0.8750]], "magnetic_moment_mub_per_fu": 0.0}

=====

(2)
{"formula": "CoCl2", "functional": "r2SCAN", "state": "optimized geometry", "lattice": [[3.5400, 0.0000, 0.0000], [-1.7700, 3.0657, 0.0000], [0.0000, 0.0000, 5.9725]], "species": ["Co", "Cl", "Cl"], "fractional_positions": [[0.0000, 0.0000, 0.0000], [0.3333, 0.6667, 0.2217], [0.6667, 0.3333, 0.7783]], "magnetic_moment_mub_per_fu": 3.0}

=====

(3)
{"formula": "WSBr4", "functional": "r2SCAN", "state": "optimized geometry", "lattice": [[10.1312, 0.0000, 0.0000], [0.0000, 6.1860, 0.0000], [-4.5652, 0.0000, 12.2221]], "species": ["W", "W", "W", "W", "S", "S", "S", "S", "Br", "Br", "Br", "Br", "Br", "Br", "Br", "Br", "Br", "Br", "Br", "Br", "Br", "Br", "Br", "Br"], "fractional_positions": [[0.2403, 0.0707, 0.0420], [0.2403, 0.4293, 0.5420], [0.7597, 0.5707, 0.4580], [0.7597, 0.9293, 0.9580], [0.3913, 0.2248, 0.5197], [0.3913, 0.2752, 0.0197], [0.6087, 0.7248, 0.9803], [0.6087, 0.7752, 0.4803], [0.0207, 0.2479, 0.9239], [0.0207, 0.2521, 0.4239], [0.1988, 0.2341, 0.1988], [0.1988, 0.2659, 0.6988], [0.2030, 0.6979, 0.3959], [0.2030, 0.8021, 0.8959], [0.3832, 0.7040, 0.6692], [0.3832, 0.7960, 0.1692], [0.6168, 0.2040, 0.8308], [0.6168, 0.2960, 0.3308], [0.7970, 0.1979, 0.1041], [0.7970, 0.3021, 0.6041], [0.8012, 0.7341, 0.3012], [0.8012, 0.7659, 0.8012], [0.9793, 0.7479, 0.5761], [0.9793, 0.7521, 0.0761]], "magnetic_moment_mub_per_fu": 0.0}

=====

(4)
{"formula": "NdLuTl2", "functional": "r2SCAN", "state": "optimized geometry", "lattice": [[7.5998, 0.0000, 0.0000], [0.0000, 7.5998, 0.0000], [0.0000, 0.0000, 7.5998]], "species": ["Nd", "Nd", "Nd", "Nd", "Lu", "Lu", "Lu", "Lu", "Tl", "Tl", "Tl", "Tl", "Tl", "Tl", "Tl", "Tl"], "fractional_positions": [[0.0000, 0.0000, 0.0000], [0.0000, 0.5000, 0.5000], [0.5000, 0.0000, 0.5000], [0.5000, 0.5000, 0.0000], [0.0000, 0.0000, 0.5000], [0.0000, 0.5000, 0.0000], [0.5000, 0.0000, 0.0000], [0.5000, 0.5000, 0.5000], [0.2500, 0.2500, 0.2500], [0.2500, 0.2500, 0.7500], [0.2500, 0.7500, 0.2500], [0.2500, 0.7500, 0.7500], [0.7500, 0.2500, 0.2500], [0.7500, 0.2500, 0.7500], [0.7500, 0.7500, 0.2500], [0.7500, 0.7500, 0.7500]], "magnetic_moment_mub_per_fu": 0.0}

=====

(5)
{"formula": "SmOs2", "functional": "r2SCAN", "state": "optimized geometry", "lattice": [[5.3093, 0.0000, 0.0000], [-2.6546, 4.5980, 0.0000], [0.0000, 0.0000, 9.0641]], "species": ["Sm", "Sm", "Sm", "Sm", "Os", "Os", "Os", "Os", "Os", "Os", "Os", "Os"], "fractional_positions": [[0.3333, 0.6667, 0.0649], [0.3333, 0.6667, 0.4351], [0.6667, 0.3333, 0.5649], [0.6667, 0.3333, 0.9351], [0.0000, 0.0000, 0.0000], [0.0000, 0.0000, 0.5000], [0.1701, 0.3401, 0.7500], [0.1701, 0.8299, 0.7500], [0.3401, 0.1701, 0.2500], [0.6599, 0.8299, 0.7500], [0.8299, 0.1701, 0.2500], [0.8299, 0.6599, 0.2500]], "magnetic_moment_mub_per_fu": 0.0}

=====

(6)
{"formula": "Sm3Sb4Au3", "functional": "r2SCAN", "state": "optimized geometry", "lattice": [[-5.0022, 5.0022, 5.0022], [5.0022, -5.0022, 5.0022], [5.0022, 5.0022, -5.0022]], "species": ["Sm", "Sm", "Sm", "Sm", "Sm", "Sm", "Sb", "Sb", "Sb", "Sb", "Sb", "Sb", "Sb", "Sb", "Au", "Au", "Au", "Au", "Au", "Au"], "fractional_positions": [[0.1250, 0.7500, 0.8750], [0.2500, 0.6250, 0.3750], [0.3750, 0.2500, 0.6250], [0.6250, 0.3750, 0.2500], [0.7500, 0.8750, 0.1250], [0.8750, 0.1250, 0.7500], [0.0000, 0.3281, 0.5000], [0.0000, 0.8281, 0.5000], [0.1719, 0.1719, 0.1719], [0.3281, 0.5000, 0.0000], [0.5000, 0.0000, 0.3281], [0.5000, 0.0000, 0.8281], [0.6719, 0.6719, 0.6719], [0.8281, 0.5000, 0.0000], [0.1250, 0.8750, 0.2500], [0.2500, 0.1250, 0.8750], [0.3750, 0.6250, 0.7500], [0.6250, 0.7500, 0.3750], [0.7500, 0.3750, 0.6250], [0.8750, 0.2500, 0.1250]], "magnetic_moment_mub_per_fu": 0.0}

=====

(7)
{"formula": "K3AlP2", "functional": "r2SCAN", "state": "optimized geometry", "lattice": [[8.8553, 0.0000, 0.0000], [3.7211, 11.2509, 0.0000], [4.3613, 3.3515, 14.1990]], "species": ["K", "K", "K", "K", "K", "K", "K", "K", "K", "K", "K", "K", "K", "K", "K", "K", "K", "K", "K", "K", "K", "K", "K", "K", "Al", "Al", "Al", "Al", "Al", "Al", "Al", "Al", "P", "P", "P", "P", "P", "P", "P", "P", "P", "P", "P", "P", "P", "P", "P", "P"], "fractional_positions": [[0.0079, 0.3766, 0.0833], [0.0127, 0.4254, 0.6613], [0.0325, 0.0818, 0.2444], [0.1547, 0.0849, 0.8069], [0.1813, 0.9160, 0.4750], [0.2764, 0.2529, 0.8808], [0.3126, 0.7635, 0.1810], [0.3186, 0.3986, 0.1922], [0.3235, 0.6200, 0.4783], [0.3402, 0.5798, 0.7430], [0.4682, 0.9027, 0.6522], [0.4812, 0.1080, 0.0843], [0.5188, 0.8920, 0.9157], [0.5318, 0.0973, 0.3478], [0.6598, 0.4202, 0.2570], [0.6765, 0.3800, 0.5217], [0.6814, 0.6014, 0.8078], [0.6874, 0.2365, 0.8190], [0.7236, 0.7471, 0.1192], [0.8187, 0.0840, 0.5250], [0.8453, 0.9151, 0.1931], [0.9675, 0.9182, 0.7556], [0.9873, 0.5746, 0.3387], [0.9921, 0.6234, 0.9167], [0.0942, 0.8587, 0.9912], [0.1392, 0.2663, 0.4458], [0.3455, 0.6125, 0.9905], [0.3479, 0.2218, 0.5735], [0.6521, 0.7782, 0.4265], [0.6545, 0.3875, 0.0095], [0.8608, 0.7337, 0.5542], [0.9058, 0.1413, 0.0088], [0.0148, 0.7063, 0.6559], [0.0954, 0.6642, 0.1044], [0.1387, 0.1284, 0.5903], [0.1699, 0.0144, 0.0377], [0.2827, 0.7817, 0.8590], [0.3403, 0.3662, 0.4298], [0.4047, 0.4123, 0.9597], [0.4994, 0.8240, 0.3195], [0.5006, 0.1760, 0.6805], [0.5953, 0.5877, 0.0403], [0.6597, 0.6338, 0.5702], [0.7173, 0.2183, 0.1410], [0.8301, 0.9856, 0.9623], [0.8613, 0.8716, 0.4097], [0.9046, 0.3358, 0.8956], [0.9852, 0.2937, 0.3441]], "magnetic_moment_mub_per_fu": 0.0}

=====

(8)
{"formula": "MgPb", "functional": "r2SCAN", "state": "optimized geometry", "lattice": [[11.4569, 0.0000, 0.0000], [0.0000, 3.5318, 0.0000], [-1.4612, 0.0000, 5.0912]], "species": ["Mg", "Mg", "Mg", "Mg", "Pb", "Pb", "Pb", "Pb"], "fractional_positions": [[0.1251, 0.0000, 0.3009], [0.3749, 0.5000, 0.6991], [0.6251, 0.5000, 0.3009], [0.8749, 0.0000, 0.6991], [0.1199, 0.5000, 0.7906], [0.3801, 0.0000, 0.2094], [0.6199, 0.0000, 0.7906], [0.8801, 0.5000, 0.2094]], "magnetic_moment_mub_per_fu": 0.0}

=====

(9)
{"formula": "HgI2", "functional": "r2SCAN", "state": "optimized geometry", "lattice": [[4.9659, 0.0000, 0.0000], [0.0000, 7.4534, 0.0000], [0.0000, 0.0000, 13.9967]], "species": ["Hg", "Hg", "Hg", "Hg", "I", "I", "I", "I", "I", "I", "I", "I"], "fractional_positions": [[0.0000, 0.1565, 0.0000], [0.0000, 0.8435, 0.5000], [0.5000, 0.3435, 0.5000], [0.5000, 0.6565, 0.0000], [0.0000, 0.1026, 0.6298], [0.0000, 0.4150, 0.8697], [0.0000, 0.5850, 0.3697], [0.0000, 0.8974, 0.1298], [0.5000, 0.0850, 0.3697], [0.5000, 0.3974, 0.1298], [0.5000, 0.6026, 0.6298], [0.5000, 0.9150, 0.8697]], "magnetic_moment_mub_per_fu": 0.0}

=====

Number 1: energy of formation -2.274 eV per atom. Number 2: energy of formation -0.942 eV per atom. Number 3: energy of formation -0.593 eV per atom. Number 4: energy of formation -0.416 eV per atom. Number 5: energy of formation -0.254 eV per atom. Number 6: energy of formation -0.992 eV per atom. Number 7: energy of formation -0.623 eV per atom. Number 8: energy of formation -0.058 eV per atom. Number 9: energy of formation -0.349 eV per atom.